[1]
Crystalline Ba2HoMgCu4O8 at its relaxed geometry. Source: the Materials Project, functional PBE-GGA.

## Properties
Total energy after the MP2020 corrections, eV/cell: -97.92

Cell and atoms, written as extended XYZ:
```
16
Lattice="-3.099 -1.274 1.665 1.627 -3.695 0.200 5.049 4.853 13.111" Properties=species:S:1:pos:R:3 pbc="T T T"
O 4.578 0.228 12.899
Mg 1.789 -0.058 7.488
O 5.281 2.699 11.895
Cu 6.045 0.821 11.878
Cu 4.340 -0.241 7.893
O -1.001 -0.344 2.078
Ba 2.880 1.588 10.779
O 3.402 -0.430 6.003
O 1.395 -1.541 1.416
O 1.653 0.900 3.766
O 5.023 0.258 9.545
Ho -0.736 -2.485 0.933
Ba 0.697 -1.705 4.197
Cu 0.631 0.337 1.433
O 3.274 1.588 7.308
Cu 2.336 1.399 5.419
```



[2]
Crystalline LaFe2P2 at its relaxed geometry. Source: the Materials Project, functional PBE-GGA.

Cell and atoms, written as extended XYZ:
```
5
Lattice="-3.957 -2.531 3.879 -5.390 2.227 1.762 3.474 -1.124 -4.876" Properties=species:S:1:pos:R:3 pbc="T T T"
La 0.000 0.000 0.000
P -3.276 -0.107 1.977
P -6.071 -0.197 3.664
Fe -2.578 -1.903 0.912
Fe -3.294 0.476 -0.147
```



[3]
Crystalline PrSi2Ir3 at its relaxed geometry. Source: the Materials Project, functional PBE-GGA.

Cell and atoms, written as extended XYZ:
```
12
Lattice="-2.820 3.634 4.908 2.820 -3.634 4.908 2.820 3.634 -4.908" Properties=species:S:1:pos:R:3 pbc="T T T"
Si 1.685 3.634 0.779
Ir 1.410 1.817 2.454
Si 1.685 3.634 4.130
Si 1.135 0.000 4.130
Si 1.135 0.000 0.779
Pr 4.065 0.000 2.454
Ir 0.000 5.227 0.000
Pr -1.245 3.634 2.454
Ir 0.000 2.041 0.000
Ir 0.000 2.041 4.908
Ir 2.820 1.593 0.000
Ir 1.410 -1.817 2.454
```



[4]
Crystalline Te4Mo3WSe4 at its relaxed geometry. Source: the Materials Project, functional PBE-GGA.

## Properties
Total energy after the MP2020 corrections, eV/cell: -78.70
Energy above the most stable polymorph in this dataset, meV per atom: 20

Cell and atoms, written as extended XYZ:
```
12
Lattice="1.720 -2.979 0.000 1.720 2.979 0.000 0.000 0.000 39.089" Properties=species:S:1:pos:R:3 pbc="T T T"
Se 1.720 0.993 12.651
Te 1.720 0.993 27.568
Mo 1.720 0.993 3.672
Mo 1.720 0.993 18.357
Se 1.720 -0.993 5.307
W 1.720 -0.993 25.705
Te 1.720 0.993 23.838
Te 1.720 -0.993 20.211
Te 1.720 -0.993 16.503
Se 1.720 0.993 9.380
Se 1.720 -0.993 2.037
Mo 1.720 -0.993 11.015
```



[5]
Crystalline La2Ni7 at its relaxed geometry. Source: the Materials Project, functional PBE-GGA.

Cell and atoms, written as extended XYZ:
```
18
Lattice="2.990 2.095 -3.439 4.228 -2.313 -1.390 -3.741 -5.947 -10.533" Properties=species:S:1:pos:R:3 pbc="T T T"
Ni 1.395 -1.039 -3.078
Ni 3.811 -1.102 -4.674
La -2.808 -5.055 -9.179
Ni 1.495 1.047 -1.720
Ni 0.375 -5.188 -8.326
Ni 2.083 -5.125 -12.284
Ni 3.103 -0.977 -7.036
Ni -0.242 -2.991 -9.348
Ni 1.865 -4.144 -10.040
Ni 3.719 -3.174 -6.015
Ni 1.612 -2.021 -5.322
La -1.032 -3.359 -6.601
La 4.510 -2.806 -8.761
Ni -0.333 -5.062 -10.689
Ni 1.739 -3.082 -7.681
Ni 3.609 -0.109 -2.415
Ni 2.114 -1.156 -0.695
La 6.286 -1.109 -6.183
```



[6]
Crystalline Ba2CuTeO6 at its relaxed geometry. Source: the Materials Project, functional PBE-GGA.

## Properties
Total energy after the MP2020 corrections, eV/cell: -62.36
Energy above the most stable polymorph in this dataset, meV per atom: 18

Cell and atoms, written as extended XYZ:
```
10
Lattice="-2.824 2.824 4.464 2.824 -2.824 4.464 2.824 2.824 -4.464" Properties=species:S:1:pos:R:3 pbc="T T T"
Cu 0.000 0.000 0.000
O 4.185 1.367 0.000
Te 0.000 0.000 4.464
O 0.000 0.000 2.523
O -1.361 1.457 4.464
O 1.457 1.361 4.464
O 0.000 0.000 6.405
Ba 2.824 0.000 2.232
O 1.367 1.463 0.000
Ba 0.000 2.824 2.232
```



[7]
Crystalline In2Bi at its relaxed geometry. Source: the Materials Project, functional PBE-GGA.

Cell and atoms, written as extended XYZ:
```
3
Lattice="-2.571 1.531 4.701 0.340 -5.394 -1.361 2.904 -0.237 1.665" Properties=species:S:1:pos:R:3 pbc="T T T"
In -0.630 -3.085 0.660
Bi -0.149 -0.896 3.513
In 1.452 -0.118 0.833
```



[8]
Crystalline Ga8Cu3W2 at its relaxed geometry. Source: the Materials Project, functional PBE-GGA.

Cell and atoms, written as extended XYZ:
```
52
Lattice="3.071 6.793 7.286 -10.362 -1.068 0.392 4.513 -9.235 1.737" Properties=species:S:1:pos:R:3 pbc="T T T"
Ga -4.250 1.949 6.047
W 3.602 -0.832 4.438
Ga 3.039 -2.045 6.709
W -2.239 5.974 7.175
Cu -2.983 -4.227 5.378
Ga -2.061 -3.433 3.031
Ga 1.660 -5.527 3.080
Cu -6.104 -6.110 3.478
Ga -1.873 -6.617 5.585
Cu -1.326 -2.620 0.695
Cu 2.075 0.396 6.392
Cu 4.089 -4.363 7.137
Ga -0.290 -4.234 5.171
W 5.859 -5.450 5.306
W -2.489 -5.106 1.048
Cu -0.897 -5.865 3.182
Ga -2.546 0.385 4.312
Ga 5.227 -7.427 3.684
Ga 2.250 5.197 5.597
Cu -5.244 0.331 4.209
W -7.670 -5.640 1.244
Ga 1.377 -0.792 8.716
Ga 3.309 -6.092 5.386
Ga -5.934 -1.366 2.390
Ga 3.490 -7.016 1.410
Ga 0.916 2.652 5.909
Ga 2.483 1.457 4.008
Ga 0.081 -4.842 0.951
Cu -3.441 3.581 7.876
Cu 1.765 -0.507 2.394
W -1.506 -1.902 5.103
Cu 0.402 -2.551 7.001
Ga 4.740 -3.160 4.876
Ga -5.101 -5.376 1.147
Ga 0.349 6.412 7.404
Cu -1.928 1.246 1.958
Ga -2.195 -2.773 7.438
W -3.775 2.577 3.532
Ga -7.903 -0.913 0.323
Ga -0.518 -0.033 6.669
Ga -5.717 -0.440 6.754
Ga -0.872 3.830 7.851
Ga -4.126 -1.967 4.884
Ga -7.261 -3.832 3.110
W -0.117 -0.148 0.396
Ga 1.056 -1.440 4.694
Ga -0.806 -1.018 2.730
Ga -4.536 0.893 1.726
Ga -9.121 -3.464 0.928
Ga -3.000 4.289 5.369
Ga -3.536 -5.901 3.331
Cu -3.075 -0.367 6.789
```



[9]
Crystalline Na2MgNb2O6 at its relaxed geometry. Source: the Materials Project, functional PBE-GGA.

## Properties
Total energy after the MP2020 corrections, eV/cell: -81.09
Energy above the most stable polymorph in this dataset, meV per atom: 224

Cell and atoms, written as extended XYZ:
```
11
Lattice="4.122 0.000 0.000 0.000 5.835 -0.017 0.000 -0.017 5.835" Properties=species:S:1:pos:R:3 pbc="T T T"
Nb 0.000 2.859 2.938
O 2.061 5.777 0.013
O 0.000 4.201 4.506
Nb 0.000 0.012 5.786
Na 2.061 0.403 3.329
O 2.061 2.940 2.851
Na 2.061 2.344 5.270
O 0.000 4.513 1.587
O 0.000 1.597 1.292
Mg 2.061 4.308 1.382
O 0.000 1.306 4.232
```



[10]
Crystalline HfTiRu2 at its relaxed geometry. Source: the Materials Project, functional PBE-GGA.

Cell and atoms, written as extended XYZ:
```
4
Lattice="-1.217 2.139 -2.024 -2.654 -1.746 -0.249 -2.517 3.137 4.828" Properties=species:S:1:pos:R:3 pbc="T T T"
Ru -2.591 1.013 0.120
Hf 0.000 0.000 0.000
Ti -1.259 1.568 2.414
Ru -3.797 2.516 2.433
```



[11]
Crystalline BaGaGe at its relaxed geometry. Source: the Materials Project, functional PBE-GGA.

Cell and atoms, written as extended XYZ:
```
12
Lattice="4.031 -1.766 -0.050 -3.525 -2.543 -0.692 1.337 3.620 -20.105" Properties=species:S:1:pos:R:3 pbc="T T T"
Ge 2.694 1.174 -18.031
Ba 1.003 2.715 -15.078
Ge -0.493 -0.895 -8.193
Ga 2.000 -0.704 -7.602
Ba 0.334 0.905 -5.026
Ba 0.000 0.000 0.000
Ge -0.851 -1.863 -2.816
Ga 1.693 -1.536 -2.978
Ge 2.336 0.206 -12.654
Ba 0.669 1.810 -10.052
Ga 0.150 0.848 -17.869
Ga -0.157 0.015 -13.245
```



[12]
Crystalline Rb2TbAuCl6 at its relaxed geometry. Source: the Materials Project, functional PBE-GGA.

## Properties
Total energy after the MP2020 corrections, eV/cell: -41.34

Cell and atoms, written as extended XYZ:
```
10
Lattice="0.000 5.404 5.404 5.404 0.000 5.404 5.404 5.404 0.000" Properties=species:S:1:pos:R:3 pbc="T T T"
Cl 5.404 8.160 5.404
Cl 5.404 2.648 5.404
Cl 8.160 5.404 5.404
Cl 5.404 5.404 2.648
Cl 5.404 5.404 8.160
Rb 8.106 8.106 8.106
Cl 2.648 5.404 5.404
Au 5.404 5.404 5.404
Rb 2.702 2.702 2.702
Tb 0.000 0.000 0.000
```



[13]
Crystalline Na3P2O8 at its relaxed geometry. Source: the Materials Project, functional PBE-GGA.

## Properties
Total energy after the MP2020 corrections, eV/cell: -328.10

Cell and atoms, written as extended XYZ:
```
52
Lattice="-2.857 -0.753 6.359 8.606 0.360 3.909 6.143 11.040 4.067" Properties=species:S:1:pos:R:3 pbc="T T T"
Na 7.692 5.969 9.138
O 7.450 9.866 8.128
O 5.558 9.855 9.888
P 6.891 10.490 9.411
P 8.608 5.818 5.763
O 7.232 3.729 8.468
O 6.271 5.974 11.003
O 4.441 0.781 6.207
O 2.800 4.418 7.156
Na 4.012 0.288 8.459
O 9.548 9.049 12.183
O 6.333 0.792 4.448
P 3.283 4.829 8.572
Na 6.935 3.068 4.648
Na 0.493 2.496 3.434
O 5.620 4.673 3.332
O 9.091 6.229 7.180
O 10.004 8.981 5.691
O 3.881 9.717 8.475
Na 11.398 8.151 10.901
P 3.511 1.936 3.079
O 11.183 9.677 9.061
O 3.942 0.479 3.718
O 3.106 2.857 4.217
P 5.000 0.157 4.924
O 11.243 6.493 7.535
O 3.072 6.304 8.883
Na 9.442 8.439 7.939
Na 4.199 4.678 5.197
O 6.289 7.537 7.717
O 8.011 0.930 5.860
O 1.887 1.666 8.645
O 8.785 7.790 10.118
O 6.982 5.990 5.822
Na 2.450 2.208 6.397
Na 4.956 7.579 9.687
O 0.708 0.970 5.274
O 4.659 6.919 5.868
O 0.648 4.154 6.800
P 5.797 3.320 8.136
O 4.910 4.657 8.513
O 5.602 3.110 6.619
O 5.307 2.163 8.990
P 8.381 8.711 11.256
P 6.094 7.327 6.199
O 6.584 8.484 5.346
Na 4.291 8.208 3.849
O 2.343 1.598 2.153
Na 7.879 10.359 5.876
O 7.949 10.169 10.618
O 8.820 4.343 5.453
Na 7.600 2.439 10.486
```



[14]
Crystalline LiSn2P3O12 at its relaxed geometry. Source: the Materials Project, functional PBE-GGA.

## Properties
Total energy after the MP2020 corrections, eV/cell: -522.87
Energy above the most stable polymorph in this dataset, meV per atom: 20

Cell and atoms, written as extended XYZ:
```
72
Lattice="-3.357 -2.718 7.621 -5.746 -5.165 -4.373 8.120 -9.263 0.272" Properties=species:S:1:pos:R:3 pbc="T T T"
O -2.144 -3.216 4.729
O 4.616 -8.712 3.007
O -4.522 -4.286 2.288
O -4.612 -10.643 2.462
O -2.208 -9.538 4.933
Sn -1.874 -15.631 3.644
O 2.351 -8.946 4.845
O 2.785 -10.450 -1.547
O -0.831 -14.245 2.640
O -5.849 -6.149 1.169
P -0.745 -10.578 -2.610
Sn -0.549 -6.375 7.545
Sn -1.508 -3.672 -1.950
Sn -6.043 -7.601 -0.363
P -0.613 -12.743 2.312
O -5.084 -9.043 0.591
O -5.505 -6.193 3.650
O 1.939 -8.023 -0.229
P -4.812 -5.824 2.296
O 0.855 -15.274 -0.811
O -0.086 -8.684 1.137
Sn 1.989 -8.594 -2.181
O -0.697 -5.855 1.566
O 0.103 -9.331 -2.303
O -0.903 -3.524 2.386
Sn 3.189 -7.366 3.804
Sn -1.749 -7.603 1.560
P 1.444 -8.549 1.129
Li 1.479 -13.881 0.387
Li -2.810 -3.580 2.867
P -2.645 -3.813 6.085
O -4.503 -6.782 -1.350
O 1.951 -7.579 2.211
O 2.399 -11.373 4.016
O -8.557 -7.810 2.740
P -4.062 -10.068 1.146
O -3.502 -6.551 2.108
O -2.724 -9.380 1.469
O -4.052 -4.438 5.797
O 2.832 -12.430 0.063
P 1.977 -10.389 5.140
O -0.876 -7.627 5.983
P 3.328 -11.836 -1.298
O -0.889 -11.826 3.492
O -3.209 -7.268 5.042
O -1.273 -3.910 0.026
O 2.761 -10.978 6.376
O 1.836 -6.007 4.462
O 3.957 -5.153 0.666
O -1.426 -11.004 -1.298
O -1.672 -4.813 6.662
O -2.139 -7.127 -0.417
P -1.873 -8.039 4.885
Sn 2.662 -11.703 2.056
Li 5.799 -10.127 -0.711
P 5.495 -9.825 2.491
Li -7.130 -7.334 3.965
O -2.607 -7.658 -2.807
O 6.193 -9.452 1.142
O 0.502 -10.498 5.473
P -0.386 -4.419 1.195
O 0.904 -12.738 1.883
O -1.247 -7.662 3.531
P -2.977 -6.773 -1.633
O 2.903 -12.859 -2.405
O 4.700 -11.148 2.224
O 1.101 -4.247 0.937
O -1.407 -12.300 1.099
O 0.153 -11.743 -3.100
O 2.028 -9.968 1.351
O 4.891 -11.750 -1.263
O -2.760 -5.284 -2.107
```



[15]
Crystalline Li3Nb4CuO12 at its relaxed geometry. Source: the Materials Project, functional PBE-GGA.

## Properties
Total energy after the MP2020 corrections, eV/cell: -164.06

Cell and atoms, written as extended XYZ:
```
20
Lattice="-1.730 3.057 3.875 2.804 -3.131 3.728 6.495 4.083 -0.317" Properties=species:S:1:pos:R:3 pbc="T T T"
Nb 3.836 1.981 3.663
Cu 4.313 4.602 5.359
O 5.926 2.555 3.302
O 2.329 -1.328 3.472
Nb 3.303 2.017 -0.109
O 4.920 3.386 0.438
O 3.284 3.776 3.342
O 7.520 3.327 5.551
Nb 0.631 -0.041 3.835
O 4.513 2.555 5.682
Li 3.211 -0.516 5.388
O 3.672 1.294 1.897
O 5.893 5.327 4.221
O 4.878 0.184 4.292
O 2.245 1.282 4.422
Li 0.925 2.570 5.440
Nb 0.054 0.001 0.039
O 0.392 3.610 3.513
Li 6.444 1.534 5.212
O 0.720 0.560 2.034
```



VASP energy, respectively: -92.42 -37.64 -95.60 -76.81 -106.34 -58.24 -9.25 -255.42 -76.97 -39.46 -44.81 -37.66 -306.12 -489.90 -155.82 eV per cell.
Calculated formation energy, respectively: -1.99 -0.99 -0.94 -0.55 -0.32 -2.16 0.05 -0.11 -2.45 -0.76 -0.54 -2.04 -2.13 -2.51 -2.72 eV/atom.